No. 1
Li2MnSi3O8, optimized geometry, DFT PBE with a Hubbard U; largest piezoelectric modulus = 1.04 C/m2; size of the total moment = 0.000 Bohr magnetons per cell; relative energy among the computed polymorphs = 0 meV per atom
1.0
-2.185 4.519 3.989
2.189 -4.424 3.919
7.916 5.278 -3.861
O Si Mn Li
16 6 2 4
direct
0.859 0.148 0.990
0.888 0.043 0.711
0.888 0.543 0.211
0.298 0.026 0.308
0.298 0.526 0.808
0.553 0.764 0.179
0.945 0.149 0.256
0.557 0.175 0.156
0.557 0.675 0.656
0.186 0.796 0.030
0.859 0.648 0.490
0.553 0.264 0.679
0.945 0.649 0.756
0.313 0.494 0.352
0.186 0.296 0.530
0.313 0.994 0.852
0.405 0.932 0.168
0.405 0.431 0.668
0.193 0.751 0.862
0.823 0.260 0.147
0.823 0.760 0.647
0.193 0.251 0.362
0.614 0.586 0.311
0.614 0.086 0.811
0.109 0.689 0.389
0.855 0.785 0.141
0.855 0.285 0.641
0.109 0.189 0.889

No. 2
Li2Mn2Si6O15, optimized geometry, DFT PBE with a Hubbard U; size of the total moment = 39.993 Bohr magnetons per cell
1.0
7.297 -8.931 0.000
7.297 8.931 0.000
0.000 0.000 10.298
Li Mn Si O
8 8 24 60
direct
0.003 0.497 0.250
0.104 0.896 0.758
0.396 0.604 0.258
0.497 0.003 0.750
0.503 0.997 0.250
0.604 0.396 0.742
0.896 0.104 0.242
0.997 0.503 0.750
0.159 0.341 0.250
0.244 0.244 0.000
0.256 0.256 0.500
0.341 0.159 0.750
0.659 0.841 0.250
0.744 0.744 0.500
0.756 0.756 0.000
0.841 0.659 0.750
0.025 0.758 0.486
0.033 0.187 0.809
0.082 0.696 0.959
0.187 0.033 0.191
0.196 0.582 0.459
0.242 0.975 0.486
0.258 0.525 0.986
0.304 0.918 0.959
0.313 0.467 0.691
0.418 0.804 0.459
0.467 0.313 0.309
0.475 0.742 0.986
0.525 0.258 0.014
0.533 0.687 0.691
0.582 0.196 0.541
0.687 0.533 0.309
0.696 0.082 0.041
0.742 0.475 0.014
0.758 0.025 0.514
0.804 0.418 0.541
0.813 0.967 0.809
0.918 0.304 0.041
0.967 0.813 0.191
0.975 0.242 0.514
0.004 0.280 0.920
0.011 0.248 0.669
0.016 0.657 0.826
0.060 0.940 0.181
0.089 0.248 0.424
0.094 0.650 0.516
0.118 0.882 0.526
0.150 0.594 0.016
0.157 0.516 0.326
0.163 0.164 0.166
0.164 0.163 0.834
0.177 0.823 0.929
0.220 0.496 0.580
0.248 0.011 0.331
0.248 0.089 0.576
0.252 0.411 0.076
0.252 0.489 0.831
0.280 0.004 0.080
0.323 0.677 0.429
0.336 0.337 0.334
0.337 0.336 0.666
0.343 0.984 0.826
0.350 0.906 0.516
0.382 0.618 0.026
0.406 0.850 0.016
0.411 0.252 0.924
0.440 0.560 0.681
0.484 0.843 0.326
0.489 0.252 0.169
0.496 0.220 0.420
0.504 0.780 0.580
0.511 0.748 0.831
0.516 0.157 0.674
0.560 0.440 0.319
0.589 0.748 0.076
0.594 0.150 0.984
0.618 0.382 0.974
0.650 0.094 0.484
0.657 0.016 0.174
0.663 0.664 0.334
0.664 0.663 0.666
0.677 0.323 0.571
0.720 0.996 0.920
0.748 0.511 0.169
0.748 0.589 0.924
0.752 0.911 0.424
0.752 0.989 0.669
0.780 0.504 0.420
0.823 0.177 0.071
0.836 0.837 0.166
0.837 0.836 0.834
0.843 0.484 0.674
0.850 0.406 0.984
0.882 0.118 0.474
0.906 0.350 0.484
0.911 0.752 0.576
0.940 0.060 0.819
0.984 0.343 0.174
0.989 0.752 0.331
0.996 0.720 0.080

No. 3
Li2MnSi3O8, optimized geometry, DFT PBE with a Hubbard U; size of the total moment = 10.000 Bohr magnetons per cell; relative energy among the computed polymorphs = 9 meV per atom
1.0
6.362 0.000 0.000
0.000 8.624 0.000
-1.771 0.000 6.474
Li Mn Si O
4 2 6 16
direct
0.081 0.000 0.495
0.346 0.515 0.222
0.654 0.015 0.778
0.919 0.500 0.505
0.454 0.338 0.599
0.546 0.838 0.401
0.081 0.829 0.990
0.252 0.143 0.897
0.341 0.673 0.733
0.659 0.173 0.267
0.748 0.643 0.103
0.919 0.329 0.010
0.068 0.007 0.895
0.116 0.712 0.806
0.171 0.302 0.993
0.248 0.805 0.208
0.268 0.159 0.662
0.271 0.539 0.556
0.440 0.832 0.667
0.490 0.095 0.053
0.510 0.595 0.947
0.560 0.332 0.333
0.729 0.039 0.444
0.732 0.659 0.338
0.752 0.305 0.792
0.829 0.802 0.007
0.884 0.212 0.194
0.932 0.507 0.105

No. 4
Li2MnSi4O10, optimized geometry, DFT PBE with a Hubbard U; size of the total moment = 20.000 Bohr magnetons per cell; relative energy among the computed polymorphs = 15 meV per atom
1.0
7.116 0.000 0.000
0.000 10.024 0.000
-5.932 0.000 13.751
Li Mn Si O
8 4 16 40
direct
0.032 0.160 0.414
0.032 0.340 0.914
0.454 0.588 0.258
0.454 0.912 0.758
0.546 0.088 0.242
0.546 0.412 0.742
0.968 0.660 0.086
0.968 0.840 0.586
0.208 0.138 0.656
0.208 0.362 0.156
0.792 0.638 0.844
0.792 0.862 0.344
0.091 0.026 0.831
0.091 0.474 0.331
0.215 0.732 0.460
0.215 0.768 0.960
0.321 0.551 0.835
0.321 0.949 0.335
0.356 0.227 0.365
0.356 0.273 0.865
0.644 0.727 0.135
0.644 0.773 0.635
0.679 0.051 0.665
0.679 0.449 0.165
0.785 0.232 0.040
0.785 0.268 0.540
0.909 0.526 0.669
0.909 0.974 0.169
0.031 0.688 0.975
0.031 0.812 0.475
0.147 0.580 0.421
0.147 0.920 0.921
0.159 0.547 0.721
0.159 0.953 0.221
0.179 0.176 0.879
0.179 0.324 0.379
0.187 0.514 0.253
0.187 0.986 0.753
0.276 0.081 0.394
0.276 0.419 0.894
0.277 0.691 0.879
0.277 0.809 0.379
0.350 0.218 0.257
0.350 0.282 0.757
0.420 0.724 0.560
0.420 0.776 0.060
0.449 0.033 0.655
0.449 0.467 0.155
0.551 0.533 0.845
0.551 0.967 0.345
0.580 0.224 0.940
0.580 0.276 0.440
0.650 0.718 0.243
0.650 0.782 0.743
0.723 0.191 0.621
0.723 0.309 0.121
0.724 0.581 0.106
0.724 0.919 0.606
0.813 0.014 0.247
0.813 0.486 0.747
0.821 0.676 0.621
0.821 0.824 0.121
0.841 0.047 0.779
0.841 0.453 0.279
0.853 0.080 0.079
0.853 0.420 0.579
0.969 0.188 0.525
0.969 0.312 0.025

Number 1: MP2020-corrected energy -217.809 eV/cell, formation energy from the elements -2862 meV/atom. Number 2: MP2020-corrected energy -808.834 eV/cell, formation energy from the elements -2932 meV/atom. Number 3: MP2020-corrected energy -217.549 eV/cell, formation energy from the elements -2852 meV/atom. Number 4: MP2020-corrected energy -535.650 eV/cell, formation energy from the elements -2927 meV/atom.